The following is a DFT calculation (PBE+U) of HoZnCr2O6 after structural relaxation.

Computed properties:
Energy of formation ... -57.7 kcal/mol of atoms

Cell lengths 7.616, 5.391, 5.200 Å; angles 90.00, 90.00, 90.00 degrees
Space group Pmn2_1 (No. 31)
Unique sites:
Ho: 0.000 0.181 0.000 (multiplicity 2)
Zn: 0.000 0.720 0.483 (multiplicity 2)
Cr: 0.249 0.261 0.485 (multiplicity 4)
O: 0.000 0.313 0.594 (multiplicity 2)
O: 0.000 0.784 0.864 (multiplicity 2)
O: 0.189 0.442 0.184 (multiplicity 4)
O: 0.191 0.944 0.306 (multiplicity 4)

=====

The following is a DFT calculation (PBE+U) of K2UCrI2O12 after structural relaxation.

Computed properties:
Energy of formation ... -44.9 kcal/mol of atoms

Cell lengths 11.310, 7.401, 16.020 Å; angles 90.00, 107.06, 90.00 degrees
Space group P2_1/c (No. 14)
Unique sites:
K: 0.000 0.248 0.047 (multiplicity 4)
K: 0.250 0.246 0.862 (multiplicity 4)
U: 0.331 0.510 0.136 (multiplicity 4)
Cr: 0.423 0.735 0.947 (multiplicity 4)
I: 0.098 0.720 0.229 (multiplicity 4)
I: 0.329 0.015 0.107 (multiplicity 4)
O: 0.007 0.617 0.293 (multiplicity 4)
O: 0.011 0.203 0.379 (multiplicity 4)
O: 0.194 0.504 0.041 (multiplicity 4)
O: 0.195 0.023 0.012 (multiplicity 4)
O: 0.200 0.522 0.226 (multiplicity 4)
O: 0.282 0.679 0.664 (multiplicity 4)
O: 0.284 0.203 0.169 (multiplicity 4)
O: 0.318 0.609 0.881 (multiplicity 4)
O: 0.395 0.555 0.420 (multiplicity 4)
O: 0.419 0.706 0.052 (multiplicity 4)
O: 0.432 0.187 0.561 (multiplicity 4)
O: 0.468 0.514 0.230 (multiplicity 4)